Compound: GaCo
Source: Materials Project
Functional: PBE
Structure: relaxed

Output
The calculated density comes out at 8.9 g cm⁻³. As for the crystal system: cubic. The formation energy is -0.564 eV/f.u.

Cell lengths 2.887, 2.887, 2.887 Å; angles 90.00, 90.00, 90.00 degrees
Space group Pm-3m (No. 221)
Inequivalent atoms, fractional coordinates:
Ga 0.000 0.000 0.000 [1 per cell]
Co 0.500 0.500 0.500 [1 per cell]